# 1
BPI3Br3 | PBE | relaxed

Cell: 7.965 12.000 13.639 Å, 90.00 90.00 90.00°
Element x y z (fractional)
B: 0.250 0.750 0.106
B: 0.750 0.250 0.394
B: 0.750 0.250 0.894
B: 0.250 0.750 0.606
P: 0.501 0.750 0.140
P: 0.001 0.250 0.360
P: 0.499 0.250 0.860
P: 0.999 0.750 0.640
I: 0.178 0.250 0.505
I: 0.322 0.250 0.005
I: 0.080 0.413 0.264
I: 0.420 0.087 0.764
I: 0.580 0.913 0.236
I: 0.420 0.413 0.764
I: 0.822 0.750 0.495
I: 0.920 0.913 0.736
I: 0.580 0.587 0.236
I: 0.678 0.750 0.995
I: 0.080 0.087 0.264
I: 0.920 0.587 0.736
Br: 0.283 0.610 0.529
Br: 0.717 0.110 0.471
Br: 0.634 0.250 0.264
Br: 0.783 0.110 0.971
Br: 0.366 0.750 0.736
Br: 0.217 0.890 0.029
Br: 0.783 0.390 0.971
Br: 0.283 0.890 0.529
Br: 0.866 0.250 0.764
Br: 0.134 0.750 0.236
Br: 0.717 0.390 0.471
Br: 0.217 0.610 0.029

## Properties
The energy of formation comes out at -0.52 eV/atom.

---

# 2
SmB2Rh3 | PBE | relaxed

Cell: 3.136 5.478 5.478 Å, 120.00 90.00 90.00°
Element x y z (fractional)
Sm: 0.000 0.000 0.000
B: 0.000 0.333 0.667
B: 0.000 0.667 0.333
Rh: 0.500 0.000 0.500
Rh: 0.500 0.500 0.500
Rh: 0.500 0.500 0.000

## Properties
The energy of formation comes out at -0.68 eV/atom.

---

# 3
Na5GdO4 | PBE | relaxed

Cell: 6.116 6.137 8.458 Å, 90.00 90.00 90.00°
Element x y z (fractional)
Na: 0.947 0.080 0.318
Na: 0.947 0.080 0.682
Na: 0.760 0.600 0.692
Na: 0.760 0.600 0.308
Na: 0.726 0.339 0.000
Na: 0.447 0.920 0.818
Na: 0.447 0.920 0.182
Na: 0.260 0.400 0.808
Na: 0.260 0.400 0.192
Na: 0.226 0.661 0.500
Gd: 0.992 0.839 0.000
Gd: 0.492 0.161 0.500
O: 0.653 0.739 0.000
O: 0.587 0.818 0.500
O: 0.610 0.259 0.265
O: 0.610 0.259 0.735
O: 0.153 0.261 0.500
O: 0.087 0.182 0.000
O: 0.110 0.741 0.765
O: 0.110 0.741 0.235

## Properties
The energy of formation comes out at -2.03 eV/atom. The energy relative to the lowest polymorph listed for this composition comes out at 43 meV per atom.

---

# 4
CaLaI5 | PBE | relaxed

Cell: 4.477 15.543 19.003 Å, 90.00 90.00 90.00°
Element x y z (fractional)
Ca: 0.750 0.746 0.156
Ca: 0.250 0.246 0.344
Ca: 0.750 0.754 0.656
Ca: 0.250 0.254 0.844
La: 0.750 0.239 0.093
La: 0.250 0.739 0.407
La: 0.750 0.261 0.593
La: 0.250 0.761 0.907
I: 0.250 0.361 0.031
I: 0.250 0.857 0.055
I: 0.250 0.611 0.154
I: 0.250 0.118 0.157
I: 0.750 0.344 0.238
I: 0.250 0.844 0.262
I: 0.750 0.618 0.343
I: 0.750 0.111 0.346
I: 0.750 0.357 0.445
I: 0.750 0.861 0.469
I: 0.250 0.139 0.531
I: 0.250 0.643 0.555
I: 0.250 0.889 0.654
I: 0.250 0.382 0.657
I: 0.750 0.156 0.738
I: 0.250 0.656 0.762
I: 0.750 0.882 0.843
I: 0.750 0.389 0.846
I: 0.750 0.143 0.945
I: 0.750 0.639 0.969

## Properties
The energy of formation comes out at -1.78 eV/atom. The energy relative to the lowest polymorph listed for this composition comes out at 51 meV per atom.

---

# 5
Tb2TiGe2 | PBE | relaxed

Cell: 3.002 3.002 14.317 Å, 90.00 90.00 90.00°
Element x y z (fractional)
Tb: 0.500 0.500 0.621
Tb: 0.500 0.500 0.379
Ti: 0.500 0.500 0.000
Ge: 0.500 0.500 0.176
Ge: 0.500 0.500 0.824

## Properties
The energy of formation comes out at 0.58 eV/atom.

---

# 6
KCd4P3 | PBE | relaxed

Cell: 4.421 4.421 12.191 Å, 79.55 79.55 60.00°
Element x y z (fractional)
K: 0.500 0.500 0.500
Cd: 0.910 0.910 0.271
Cd: 0.090 0.090 0.729
Cd: 0.698 0.698 0.905
Cd: 0.302 0.302 0.095
P: 0.771 0.771 0.686
P: 0.229 0.229 0.314
P: 0.000 0.000 0.000

## Properties
The energy of formation comes out at -0.19 eV/atom.

---

# 7
UNiB4 | PBE | relaxed

Cell: 6.770 6.770 6.770 Å, 113.11 113.11 102.41°
Element x y z (fractional)
U: 0.195 0.195 0.000
U: 0.805 0.805 0.000
U: 0.750 0.250 0.500
U: 0.250 0.750 0.500
Ni: 0.500 0.273 0.773
Ni: 0.500 0.727 0.227
Ni: 0.727 0.500 0.227
Ni: 0.273 0.500 0.773
B: 0.111 0.275 0.386
B: 0.889 0.725 0.614
B: 0.889 0.275 0.164
B: 0.111 0.725 0.836
B: 0.725 0.889 0.614
B: 0.275 0.111 0.386
B: 0.725 0.111 0.836
B: 0.275 0.889 0.164
B: 0.423 0.423 0.536
B: 0.886 0.886 0.464
B: 0.577 0.114 0.000
B: 0.114 0.577 0.000
B: 0.577 0.577 0.464
B: 0.114 0.114 0.536
B: 0.886 0.423 0.000
B: 0.423 0.886 0.000

## Properties
The energy of formation comes out at -0.48 eV/atom.

---

# 8
Nb4Te17I4 | PBE | relaxed

Cell: 9.388 9.388 27.123 Å, 76.84 76.84 54.30°
Element x y z (fractional)
Nb: 0.094 0.525 0.442
Nb: 0.906 0.475 0.558
Nb: 0.620 0.226 0.828
Nb: 0.525 0.094 0.942
Nb: 0.774 0.380 0.672
Nb: 0.475 0.906 0.058
Nb: 0.226 0.620 0.328
Nb: 0.380 0.774 0.172
Te: 0.420 0.457 0.907
Te: 0.075 0.661 0.530
Te: 0.096 0.355 0.646
Te: 0.339 0.925 0.970
Te: 0.580 0.543 0.093
Te: 0.667 0.732 0.632
Te: 0.613 0.195 0.725
Te: 0.794 0.761 0.990
Te: 0.961 0.886 0.821
Te: 0.545 0.455 0.250
Te: 0.761 0.794 0.490
Te: 0.905 0.153 0.600
Te: 0.333 0.268 0.368
Te: 0.457 0.420 0.407
Te: 0.239 0.206 0.510
Te: 0.039 0.114 0.179
Te: 0.114 0.039 0.679
Te: 0.195 0.613 0.225
Te: 0.455 0.545 0.750
Te: 0.805 0.387 0.775
Te: 0.268 0.333 0.868
Te: 0.886 0.961 0.321
Te: 0.206 0.239 0.010
Te: 0.387 0.805 0.275
Te: 0.925 0.339 0.470
Te: 0.661 0.075 0.030
Te: 0.645 0.904 0.854
Te: 0.847 0.095 0.900
Te: 0.355 0.096 0.146
Te: 0.732 0.667 0.132
Te: 0.095 0.847 0.400
Te: 0.543 0.580 0.593
Te: 0.153 0.905 0.100
Te: 0.904 0.645 0.354
I: 0.528 0.262 0.556
I: 0.905 0.801 0.705
I: 0.199 0.095 0.795
I: 0.738 0.472 0.944
I: 0.262 0.528 0.056
I: 0.095 0.199 0.295
I: 0.801 0.905 0.205
I: 0.472 0.738 0.444

## Properties
The energy of formation comes out at -0.39 eV/atom.

---

# 9
ErB2Ru | PBE | relaxed

Cell: 5.301 5.892 6.329 Å, 90.00 90.00 90.00°
Element x y z (fractional)
Er: 0.250 0.510 0.836
Er: 0.250 0.010 0.664
Er: 0.750 0.490 0.164
Er: 0.750 0.990 0.336
B: 0.084 0.868 0.038
B: 0.416 0.368 0.462
B: 0.584 0.132 0.962
B: 0.916 0.632 0.538
B: 0.916 0.132 0.962
B: 0.584 0.632 0.538
B: 0.416 0.868 0.038
B: 0.084 0.368 0.462
Ru: 0.250 0.681 0.319
Ru: 0.250 0.181 0.181
Ru: 0.750 0.319 0.681
Ru: 0.750 0.819 0.819

## Properties
The energy of formation comes out at -0.64 eV/atom.

---

# 10
IrSe3Br9 | PBE | relaxed

Cell: 13.274 8.942 17.300 Å, 63.68 90.00 90.00°
Element x y z (fractional)
Ir: 0.738 0.705 0.872
Ir: 0.762 0.705 0.372
Ir: 0.262 0.295 0.128
Ir: 0.238 0.295 0.628
Se: 0.681 0.682 0.740
Se: 0.819 0.682 0.240
Se: 0.319 0.318 0.260
Se: 0.181 0.318 0.760
Se: 0.576 0.713 0.927
Se: 0.924 0.713 0.427
Se: 0.424 0.287 0.073
Se: 0.076 0.287 0.573
Se: 0.823 0.742 0.987
Se: 0.677 0.742 0.487
Se: 0.177 0.258 0.013
Se: 0.323 0.258 0.513
Br: 0.734 0.399 0.984
Br: 0.766 0.399 0.484
Br: 0.266 0.601 0.016
Br: 0.234 0.601 0.516
Br: 0.886 0.642 0.796
Br: 0.614 0.642 0.296
Br: 0.114 0.358 0.204
Br: 0.386 0.358 0.704
Br: 0.743 0.996 0.753
Br: 0.757 0.996 0.253
Br: 0.257 0.004 0.247
Br: 0.243 0.004 0.747
Br: 0.667 0.399 0.763
Br: 0.833 0.399 0.263
Br: 0.333 0.601 0.237
Br: 0.167 0.601 0.737
Br: 0.505 0.753 0.720
Br: 0.995 0.753 0.220
Br: 0.495 0.247 0.280
Br: 0.005 0.247 0.780
Br: 0.595 0.662 0.076
Br: 0.905 0.662 0.576
Br: 0.405 0.338 0.924
Br: 0.095 0.338 0.424
Br: 0.506 0.984 0.866
Br: 0.994 0.984 0.366
Br: 0.494 0.016 0.134
Br: 0.006 0.016 0.634
Br: 0.793 0.019 0.967
Br: 0.707 0.019 0.467
Br: 0.207 0.981 0.033
Br: 0.293 0.981 0.533
Br: 0.999 0.745 0.964
Br: 0.501 0.745 0.464
Br: 0.001 0.255 0.036
Br: 0.499 0.255 0.536

## Properties
The energy of formation comes out at -0.59 eV/atom. The energy relative to the lowest polymorph listed for this composition comes out at 20 meV per atom.

---

# 11
Ba2TbTaO6 | PBE | relaxed

Cell: 6.053 6.053 6.053 Å, 60.00 60.00 60.00°
Element x y z (fractional)
Ba: 0.250 0.250 0.250
Ba: 0.750 0.750 0.750
Tb: 0.500 0.500 0.500
Ta: 0.000 0.000 0.000
O: 0.765 0.235 0.235
O: 0.235 0.765 0.765
O: 0.235 0.765 0.235
O: 0.765 0.235 0.765
O: 0.235 0.235 0.765
O: 0.765 0.765 0.235

## Properties
The energy of formation comes out at -3.57 eV/atom.

---

# 12
YTmAl2 | PBE | relaxed

Cell: 5.055 5.055 5.055 Å, 60.00 60.00 60.00°
Element x y z (fractional)
Y: 0.000 0.000 0.000
Tm: 0.500 0.500 0.500
Al: 0.750 0.750 0.750
Al: 0.250 0.250 0.250

## Properties
The energy of formation comes out at -0.40 eV/atom.

---

# 13
BaEuNbInO6 | PBE | relaxed

Cell: 5.870 5.870 5.870 Å, 60.00 60.00 60.00°
Element x y z (fractional)
Ba: 0.750 0.750 0.750
Eu: 0.250 0.250 0.250
Nb: 0.500 0.500 0.500
In: 0.000 0.000 0.000
O: 0.741 0.259 0.259
O: 0.259 0.741 0.741
O: 0.741 0.259 0.741
O: 0.259 0.741 0.259
O: 0.741 0.741 0.259
O: 0.259 0.259 0.741

## Properties
The energy of formation comes out at -2.91 eV/atom.